1.
{
  "formula": "BaCl2",
  "functional": "r2SCAN",
  "state": "relaxed",
  "total_energy_ev_per_atom": -15.742,
  "spacegroup": "P-62m (189)",
  "vol_a3_per_fu": 90,
  "mass_density_g_cm3": 3.859,
  "lattice": [[-0.159, -4.242, 6.956], [-1.565, -3.722, -7.078], [4.546, -0.976, -0.492]],
  "species": ["Ba", "Ba", "Ba", "Cl", "Cl", "Cl", "Cl", "Cl", "Cl"],
  "fractional_positions": [[0.000, 0.000, 0.500], [0.667, 0.333, 0.000], [0.333, 0.667, 0.000], [0.000, 0.256, 0.000], [0.590, 0.000, 0.500], [0.410, 0.410, 0.500], [0.256, 0.000, 0.000], [0.000, 0.590, 0.500], [0.744, 0.744, 0.000]]
}

2.
{
  "formula": "CrCoPt2",
  "functional": "r2SCAN",
  "state": "relaxed",
  "total_energy_ev_per_atom": -33.113,
  "spacegroup": "P4/mmm (123)",
  "vol_a3_per_fu": 56,
  "mass_density_g_cm3": 14.906,
  "lattice": [[3.881, 0.000, 0.000], [0.000, 3.881, 0.000], [0.000, 0.000, 3.707]],
  "species": ["Cr", "Co", "Pt", "Pt"],
  "fractional_positions": [[0.000, 0.000, 0.000], [0.500, 0.500, 0.000], [0.500, 0.000, 0.500], [0.000, 0.500, 0.500]]
}